Entry from Materials Project: a relaxed structure of TiSi2C3N2Cl5 (GGA-PBE).

Geometry as extended XYZ:
```
52
Lattice="7.4045 0.0000 0.0000 0.0000 13.5004 0.0000 -5.7567 0.0000 14.6911" Properties=species:S:1:pos:R:3 pbc="T T T"
Ti -1.6408 1.1986 6.8550
Ti -4.5192 5.5517 14.2005
Ti 6.1670 7.9488 0.4906
Ti 3.2886 12.3019 7.8361
Si -3.3683 9.7233 9.8009
Si -0.4900 10.5274 2.4553
Si 2.1073 3.3098 0.3444
Si -0.7710 3.4405 7.6900
Si 2.4188 10.0600 7.0011
Si -0.4596 10.1907 14.3467
Si 2.1377 2.9730 12.2358
Si 5.0161 3.7772 4.8902
C -4.2102 8.5283 10.9683
C -1.3318 11.7224 3.6227
C -3.2108 7.5818 11.0641
C -0.3324 12.6688 3.7186
C -2.6462 8.0085 9.8766
C 0.2322 12.2421 2.5311
C 1.4156 1.2583 12.1600
C 4.2939 5.4919 4.8145
C 1.9802 0.8316 10.9726
C 4.8586 5.9186 3.6270
C 2.9796 1.7781 11.0684
C 5.8579 4.9721 3.7229
N -1.6428 3.0940 6.2280
N -4.5212 3.6562 13.5735
N -0.6200 1.7700 8.1304
N 2.2584 4.9802 0.7848
N -0.6106 8.5203 13.9063
N 2.2678 11.7304 6.5607
N 6.1689 9.8442 1.1176
N 3.2906 10.4065 8.4631
Cl -4.7330 7.9906 14.3213
Cl -1.8547 12.2601 6.9757
Cl 0.9638 2.2594 1.6773
Cl -1.9145 4.4908 9.0229
Cl -0.0221 0.5736 4.6829
Cl -2.9004 6.1767 12.0285
Cl 0.6330 9.0765 3.3560
Cl -2.2453 11.1742 10.7015
Cl 0.6863 9.0229 7.3086
Cl -2.1921 11.2277 14.6542
Cl 3.8399 2.2727 0.0369
Cl 0.9615 4.4775 7.3825
Cl 3.8931 2.3262 3.9896
Cl 1.0147 4.4240 11.3352
Cl 4.5482 7.3238 2.6626
Cl 1.6698 12.9269 10.0082
Cl 3.5623 9.0096 5.6682
Cl 0.6839 11.2410 13.0138
Cl 3.5024 1.2403 7.7154
Cl 6.3808 5.5099 0.3698
```

Properties
- size of the total moment (μB per formula unit) = 0.99
- ΔH_f (0 K) (eV per atom) = -0.484
- raw total energy (eV per cell) = -302.30
- space-group type = P2_1/c, No. 14